1.
Computed, not measured: an optimized crystal structure of Na3SiBSbO7 at the GGA-PBE level of DFT.

magnetization = 0.007 μB/cell
energy relative to the elements = -2.42 eV/atom
energy = -6.27 eV/atom

Lattice parameters (Å, degrees): 6.8400 5.3246 9.1880 89.41 90.00 90.00
Last column: nearest neighbours and their distance in Å.
Fractional coordinates of all 26 atoms:
Na  0.2500  0.7595  0.9237  5 O 2.46-2.59
Na  0.0076  0.2535  0.7508  4 O 2.25-2.51
Na  0.4924  0.2535  0.7508  4 O 2.25-2.51
Na  0.5076  0.7465  0.2492  4 O 2.25-2.51
Na  0.9924  0.7465  0.2492  4 O 2.25-2.51
Na  0.7500  0.2405  0.0763  5 O 2.46-2.59
Si  0.2500  0.7070  0.5827  4 O 1.65-1.66
Si  0.7500  0.2930  0.4173  4 O 1.65-1.66
B  0.7500  0.7327  0.9408  3 O 1.33-1.42
B  0.2500  0.2673  0.0592  3 O 1.33-1.42
Sb  0.7500  0.7832  0.6582  6 O 2.12-2.26
Sb  0.2500  0.2168  0.3418  6 O 2.12-2.26
O  0.2500  0.2872  0.9143  1 B 1.33
O  0.7500  0.9649  0.8630  1 B 1.42
O  0.7500  0.5244  0.8460  1 B 1.42
O  0.0618  0.7937  0.6840  1 Si 1.66
O  0.4382  0.7937  0.6840  1 Si 1.66
O  0.2500  0.3983  0.5634  1 Si 1.65
O  0.7500  0.1613  0.5809  1 Si 1.65
O  0.2500  0.8387  0.4191  1 Si 1.65
O  0.7500  0.6017  0.4366  1 Si 1.65
O  0.5618  0.2063  0.3160  1 Si 1.66
O  0.9382  0.2063  0.3160  1 Si 1.66
O  0.2500  0.4756  0.1540  1 B 1.42
O  0.2500  0.0351  0.1370  1 B 1.42
O  0.7500  0.7128  0.0857  1 B 1.33


2.
Computed, not measured: an optimized crystal structure of Sr2SbN3 at the GGA-PBE level of DFT.

magnetization = 0.004 μB/cell
energy relative to the elements = -0.57 eV/atom
energy = -5.80 eV/atom

Lattice parameters (Å, degrees): 6.5721 11.7202 12.4637 90.00 90.01 153.08
Last column: nearest neighbours and their distance in Å.
Fractional coordinates of all 24 atoms:
Sr  0.5003  0.0397  0.8562  3 N 2.54-2.71
Sr  0.4997  0.5394  0.6438  3 N 2.54-2.71
Sr  0.4997  0.9603  0.1438  3 N 2.54-2.71
Sr  0.5003  0.4606  0.3562  3 N 2.54-2.71
Sr  0.5000  0.8668  0.5761  5 N 2.59-2.84
Sr  0.5000  0.3668  0.9239  5 N 2.59-2.84
Sr  0.5000  0.1332  0.4239  5 N 2.59-2.84
Sr  0.5000  0.6332  0.0761  5 N 2.59-2.84
Sb  0.5001  0.2460  0.6597  4 N 2.00-2.04
Sb  0.4999  0.7459  0.8403  4 N 2.00-2.04
Sb  0.4999  0.7540  0.3403  4 N 2.00-2.04
Sb  0.5001  0.2541  0.1597  4 N 2.00-2.04
N  0.0000  0.5659  0.7500  2 Sb 2.04
N  0.0000  0.4341  0.2500  2 Sb 2.04
N  0.5007  0.0766  0.6417  1 Sb 2.00
N  0.4993  0.5759  0.8583  1 Sb 2.00
N  0.4993  0.9234  0.3583  1 Sb 2.00
N  0.5007  0.4241  0.1417  1 Sb 2.00
N  0.4998  0.1526  0.0302  1 Sb 2.00
N  0.5002  0.6529  0.4698  1 Sb 2.00
N  0.5002  0.8474  0.9698  1 Sb 2.00
N  0.4998  0.3471  0.5302  1 Sb 2.00
N  0.0000  0.0657  0.7500  2 Sb 2.04
N  0.0000  0.9343  0.2500  2 Sb 2.04


3.
Computed, not measured: an optimized crystal structure of CuBi at the GGA-PBE level of DFT.

energy relative to the elements = 0.11 eV/atom
energy = -3.88 eV/atom

Lattice parameters (Å, degrees): 4.4319 4.4319 5.1372 90.00 90.00 120.00
Last column: nearest neighbours and their distance in Å.
Fractional coordinates of all 4 atoms:
Cu  0.0000  0.0000  0.0000  2 Cu 2.57, 6 Bi 2.86
Cu  0.0000  0.0000  0.5000  2 Cu 2.57, 6 Bi 2.86
Bi  0.3333  0.6667  0.2500  6 Cu 2.86
Bi  0.6667  0.3333  0.7500  6 Cu 2.86


4.
Computed, not measured: an optimized crystal structure of CeSe2 at the GGA-PBE level of DFT.

magnetization = 0.028 μB/cell
energy relative to the elements = -1.39 eV/atom
energy = -5.38 eV/atom

Lattice parameters (Å, degrees): 8.8409 8.8409 8.8409 60.00 60.00 60.00
Last column: nearest neighbours and their distance in Å.
Fractional coordinates of all 6 atoms:
Ce  0.2500  0.2500  0.2500  4 Se 2.71
Ce  0.0000  0.0000  0.0000  4 Se 2.71
Se  0.1250  0.1250  0.6250  2 Ce 2.71
Se  0.1250  0.6250  0.1250  2 Ce 2.71
Se  0.6250  0.1250  0.1250  2 Ce 2.71
Se  0.1250  0.1250  0.1250  2 Ce 2.71


5.
Computed, not measured: an optimized crystal structure of LiCuS at the GGA-PBE level of DFT.

maximum piezoelectric response = 3.32 C/m²
magnetization = 0.000 μB/cell
energy relative to the elements = -0.83 eV/atom
energy = -4.04 eV/atom

Lattice parameters (Å, degrees): 3.8295 4.0998 6.1739 90.00 90.00 90.00
Last column: nearest neighbours and their distance in Å.
Fractional coordinates of all 6 atoms:
Li  0.0000  0.4767  0.0158  3 S 2.50, 1 Cu 2.75
Li  0.5000  0.5233  0.5158  3 S 2.50, 1 Cu 2.75
Cu  0.0000  0.9436  0.3347  3 S 2.24-2.28
Cu  0.5000  0.0564  0.8347  3 S 2.24-2.28
S  0.0000  0.1934  0.6573  3 Cu 2.24-2.28, 3 Li 2.50
S  0.5000  0.8066  0.1573  3 Cu 2.24-2.28, 3 Li 2.50


6.
Computed, not measured: an optimized crystal structure of Na3Nd5Cl15 at the GGA-PBE level of DFT.

magnetization = 0.069 μB/cell
energy relative to the elements = -2.37 eV/atom
energy = -4.38 eV/atom

Lattice parameters (Å, degrees): 8.8980 8.9108 14.2015 96.25 96.12 102.17
Last column: nearest neighbours and their distance in Å.
Fractional coordinates of all 46 atoms:
Na  0.5849  0.5861  0.9139  6 Cl 2.89-3.00, 1 Na 3.20
Na  0.4151  0.4139  0.0861  6 Cl 2.89-3.00, 1 Na 3.20
Na  0.2487  0.2505  0.2494  3 Cl 2.84-2.87
Na  0.9138  0.9148  0.5859  6 Cl 2.88-3.03, 1 Na 3.21
Na  0.0862  0.0852  0.4141  6 Cl 2.88-3.03, 1 Na 3.21
Na  0.7513  0.7495  0.7506  3 Cl 2.84-2.87
Nd  0.9823  0.3170  0.8529  9 Cl 2.87-3.18
Nd  0.2190  0.8845  0.9466  9 Cl 2.92-3.17
Nd  0.7810  0.1155  0.0534  9 Cl 2.92-3.17
Nd  0.0177  0.6830  0.1471  9 Cl 2.87-3.18
Nd  0.5829  0.9169  0.2492  9 Cl 2.91-3.17
Nd  0.8149  0.4827  0.3509  9 Cl 2.87-3.17
Nd  0.3858  0.7174  0.4468  9 Cl 2.90-3.16
Nd  0.6142  0.2826  0.5532  9 Cl 2.90-3.16
Nd  0.1851  0.5173  0.6491  9 Cl 2.87-3.17
Nd  0.4171  0.0831  0.7508  9 Cl 2.91-3.17
Cl  0.2537  0.5638  0.8569  3 Nd 2.89-3.09, 1 Na 2.93
Cl  0.6712  0.2872  0.9065  3 Nd 2.91-3.10, 1 Na 2.92
Cl  0.9172  0.0006  0.8893  1 Na 2.85, 3 Nd 2.87-3.14
Cl  0.0685  0.3627  0.0603  3 Nd 2.93-3.13, 1 Na 3.00
Cl  0.2846  0.2081  0.9119  1 Na 2.89, 3 Nd 2.91-3.11
Cl  0.4706  0.1012  0.1064  3 Nd 2.92-3.17, 1 Na 2.97
Cl  0.5294  0.8988  0.8936  3 Nd 2.92-3.17, 1 Na 2.97
Cl  0.7154  0.7919  0.0881  1 Na 2.89, 3 Nd 2.91-3.11
Cl  0.8716  0.1611  0.2602  3 Nd 2.92-3.17, 1 Na 2.98
Cl  0.9315  0.6373  0.9397  3 Nd 2.93-3.13, 1 Na 3.00
Cl  0.0828  0.9994  0.1107  1 Na 2.85, 3 Nd 2.87-3.14
Cl  0.2739  0.9001  0.3061  3 Nd 2.93-3.18, 1 Na 3.00
Cl  0.3288  0.7128  0.0935  3 Nd 2.91-3.10, 1 Na 2.92
Cl  0.5113  0.5855  0.2830  3 Nd 2.92-3.12, 1 Na 2.98
Cl  0.6617  0.9618  0.4566  1 Na 2.88, 3 Nd 2.90-3.16
Cl  0.7463  0.4362  0.1431  3 Nd 2.89-3.09, 1 Na 2.93
Cl  0.8854  0.7995  0.3136  3 Nd 2.88-3.17, 1 Na 2.91
Cl  0.0787  0.6918  0.5059  3 Nd 2.89-3.16, 1 Na 2.91
Cl  0.1248  0.5139  0.2949  1 Na 2.84, 3 Nd 2.91-3.10
Cl  0.3131  0.3918  0.4844  3 Nd 2.93-3.13, 1 Na 3.03
Cl  0.4546  0.7630  0.6555  1 Na 2.87, 3 Nd 2.87-3.12
Cl  0.5454  0.2370  0.3445  1 Na 2.87, 3 Nd 2.87-3.12
Cl  0.6869  0.6082  0.5156  3 Nd 2.93-3.13, 1 Na 3.03
Cl  0.8752  0.4861  0.7051  1 Na 2.84, 3 Nd 2.91-3.10
Cl  0.9213  0.3082  0.4941  3 Nd 2.89-3.16, 1 Na 2.91
Cl  0.1146  0.2005  0.6864  3 Nd 2.88-3.17, 1 Na 2.91
Cl  0.3383  0.0382  0.5434  1 Na 2.88, 3 Nd 2.90-3.16
Cl  0.4887  0.4145  0.7170  3 Nd 2.92-3.12, 1 Na 2.98
Cl  0.7261  0.0999  0.6939  3 Nd 2.93-3.18, 1 Na 3.00
Cl  0.1284  0.8389  0.7398  3 Nd 2.92-3.17, 1 Na 2.98


7.
Computed, not measured: an optimized crystal structure of Na7Si51 at the GGA-PBE level of DFT.

magnetization = 0.005 μB/cell
energy relative to the elements = 0.07 eV/atom
energy = -4.92 eV/atom

Lattice parameters (Å, degrees): 10.4365 10.4349 25.6103 89.98 90.00 120.01
Last column: nearest neighbours and their distance in Å.
Fractional coordinates of all 116 atoms:
Na  0.3333  0.1667  0.7917  28 Si 3.93-4.03
Na  0.0000  0.5000  0.1250  28 Si 3.93-4.03
Na  0.6666  0.8333  0.4583  28 Si 3.93-4.03
Na  0.0000  0.5000  0.8750  28 Si 3.93-4.03
Na  0.6667  0.8334  0.2083  28 Si 3.93-4.03
Na  0.3333  0.1667  0.5417  28 Si 3.93-4.03
Na  0.8333  0.1667  0.6667  20 Si 3.19-3.39
Na  0.5000  0.5000  0.0000  20 Si 3.19-3.39
Na  0.5000  0.0000  0.0000  20 Si 3.20-3.40
Na  0.1667  0.3333  0.3333  20 Si 3.20-3.39
Na  0.8333  0.6667  0.6666  20 Si 3.20-3.40
Na  0.0000  0.0000  0.0000  20 Si 3.20-3.40
Na  0.6667  0.3333  0.3333  20 Si 3.20-3.39
Na  0.3334  0.6667  0.6666  20 Si 3.20-3.40
Si  0.6667  0.8333  0.7083  4 Si 2.37-2.39
Si  0.3333  0.1667  0.0416  4 Si 2.37-2.39
Si  0.0004  0.5009  0.3749  4 Si 2.37-2.39
Si  0.6667  0.8334  0.9584  4 Si 2.37-2.39
Si  0.3329  0.1658  0.2917  4 Si 2.37-2.39
Si  0.0000  0.5000  0.6250  4 Si 2.37-2.39
Si  0.5856  0.2928  0.9210  4 Si 2.36-2.41
Si  0.2522  0.6263  0.2544  4 Si 2.36-2.40
Si  0.9188  0.9594  0.5877  4 Si 2.36-2.41
Si  0.3383  0.5540  0.7905  4 Si 2.36-2.40
Si  0.0048  0.8871  0.1240  4 Si 2.37-2.40
Si  0.6713  0.2202  0.4571  4 Si 2.36-2.41
Si  0.3383  0.7843  0.7905  4 Si 2.37-2.40
Si  0.0049  0.1175  0.1238  4 Si 2.36-2.40
Si  0.6723  0.4516  0.4570  4 Si 2.37-2.41
Si  0.7373  0.3687  0.9982  4 Si 2.37-2.41
Si  0.4038  0.7021  0.3315  4 Si 2.37-2.40
Si  0.0705  0.0353  0.6649  4 Si 2.37-2.41
Si  0.7158  0.1616  0.7905  4 Si 2.36-2.40
Si  0.3824  0.4951  0.1238  4 Si 2.36-2.40
Si  0.0492  0.8282  0.4570  4 Si 2.36-2.40
Si  0.2073  0.9145  0.9210  4 Si 2.37-2.41
Si  0.8743  0.2485  0.2544  4 Si 2.37-2.41
Si  0.5406  0.5812  0.5877  4 Si 2.36-2.40
Si  0.1314  0.7627  0.9983  4 Si 2.37-2.41
Si  0.7975  0.0951  0.3315  4 Si 2.37-2.41
Si  0.4647  0.4295  0.6649  4 Si 2.37-2.40
Si  0.9459  0.1616  0.7905  4 Si 2.36-2.40
Si  0.6127  0.4951  0.1238  4 Si 2.36-2.40
Si  0.2790  0.8282  0.4570  4 Si 2.36-2.40
Si  0.7157  0.5540  0.7905  4 Si 2.36-2.40
Si  0.3823  0.8871  0.1240  4 Si 2.37-2.40
Si  0.0489  0.2202  0.4571  4 Si 2.36-2.41
Si  0.1314  0.3687  0.9982  4 Si 2.37-2.41
Si  0.7982  0.7021  0.3315  4 Si 2.37-2.40
Si  0.4649  0.0353  0.6649  4 Si 2.37-2.41
Si  0.2072  0.2928  0.9210  4 Si 2.36-2.41
Si  0.8741  0.6263  0.2544  4 Si 2.36-2.40
Si  0.5406  0.9594  0.5877  4 Si 2.36-2.41
Si  0.9460  0.7843  0.7905  4 Si 2.37-2.40
Si  0.6126  0.1175  0.1238  4 Si 2.36-2.40
Si  0.2793  0.4516  0.4570  4 Si 2.37-2.41
Si  0.7477  0.3739  0.7457  4 Si 2.36-2.41
Si  0.4145  0.7073  0.0790  4 Si 2.36-2.41
Si  0.0811  0.0404  0.4123  4 Si 2.36-2.40
Si  0.9951  0.1127  0.8762  4 Si 2.36-2.40
Si  0.6621  0.4465  0.2096  4 Si 2.36-2.41
Si  0.3285  0.7795  0.5427  4 Si 2.37-2.40
Si  0.9950  0.8824  0.8762  4 Si 2.37-2.40
Si  0.6611  0.2151  0.2097  4 Si 2.37-2.41
Si  0.3285  0.5492  0.5429  4 Si 2.36-2.40
Si  0.5960  0.2980  0.6685  4 Si 2.37-2.41
Si  0.2629  0.6313  0.0018  4 Si 2.37-2.41
Si  0.9295  0.9646  0.3351  4 Si 2.37-2.40
Si  0.6176  0.5050  0.8762  4 Si 2.36-2.40
Si  0.2841  0.8385  0.2097  4 Si 2.36-2.40
Si  0.9510  0.1715  0.5429  4 Si 2.36-2.40
Si  0.1261  0.7521  0.7456  4 Si 2.37-2.41
Si  0.7927  0.0855  0.0789  4 Si 2.36-2.40
Si  0.4591  0.4182  0.4123  4 Si 2.37-2.41
Si  0.2020  0.9039  0.6684  4 Si 2.37-2.41
Si  0.8686  0.2372  0.0018  4 Si 2.37-2.40
Si  0.5358  0.5716  0.3351  4 Si 2.37-2.41
Si  0.3875  0.5050  0.8762  4 Si 2.36-2.40
Si  0.0544  0.8385  0.2097  4 Si 2.36-2.40
Si  0.7206  0.1715  0.5429  4 Si 2.36-2.40
Si  0.6176  0.1127  0.8762  4 Si 2.36-2.40
Si  0.2844  0.4465  0.2096  4 Si 2.36-2.41
Si  0.9510  0.7795  0.5427  4 Si 2.37-2.40
Si  0.2019  0.2980  0.6685  4 Si 2.37-2.41
Si  0.8685  0.6313  0.0018  4 Si 2.37-2.41
Si  0.5351  0.9646  0.3351  4 Si 2.37-2.40
Si  0.1261  0.3739  0.7457  4 Si 2.36-2.41
Si  0.7928  0.7073  0.0790  4 Si 2.36-2.41
Si  0.4593  0.0404  0.4123  4 Si 2.36-2.40
Si  0.3873  0.8824  0.8762  4 Si 2.37-2.40
Si  0.0540  0.2151  0.2097  4 Si 2.37-2.41
Si  0.7208  0.5492  0.5429  4 Si 2.36-2.40
Si  0.3334  0.1667  0.9490  4 Si 2.37-2.39
Si  0.0002  0.5005  0.2824  4 Si 2.37-2.39
Si  0.6667  0.8333  0.6156  4 Si 2.37-2.39
Si  0.5420  0.5840  0.7395  4 Si 2.37-2.39
Si  0.2086  0.9173  0.0729  4 Si 2.37-2.39
Si  0.8758  0.2517  0.4062  4 Si 2.38-2.39
Si  0.5421  0.9581  0.7396  4 Si 2.37-2.39
Si  0.2087  0.2915  0.0729  4 Si 2.37-2.39
Si  0.8760  0.6249  0.4062  4 Si 2.37-2.38
Si  0.9160  0.9581  0.7396  4 Si 2.37-2.39
Si  0.5829  0.2915  0.0729  4 Si 2.37-2.39
Si  0.2490  0.6249  0.4062  4 Si 2.37-2.38
Si  0.0000  0.5000  0.7177  4 Si 2.37-2.39
Si  0.6667  0.8333  0.0510  4 Si 2.37-2.39
Si  0.3331  0.1662  0.3842  4 Si 2.37-2.39
Si  0.7913  0.0827  0.9271  4 Si 2.37-2.39
Si  0.4575  0.4150  0.2605  4 Si 2.38-2.39
Si  0.1247  0.7494  0.5937  4 Si 2.37-2.39
Si  0.7912  0.7085  0.9271  4 Si 2.37-2.39
Si  0.4574  0.0417  0.2605  4 Si 2.37-2.38
Si  0.1247  0.3751  0.5937  4 Si 2.37-2.39
Si  0.4173  0.7085  0.9271  4 Si 2.37-2.39
Si  0.0844  0.0417  0.2605  4 Si 2.37-2.38
Si  0.7505  0.3751  0.5937  4 Si 2.37-2.39


8.
Computed, not measured: an optimized crystal structure of Y3Ge6N11 at the GGA-PBE level of DFT.

magnetization = 0.001 μB/cell
energy relative to the elements = -0.69 eV/atom
energy = -7.44 eV/atom

Lattice parameters (Å, degrees): 10.3696 10.3696 5.1653 90.00 90.00 90.00
Last column: nearest neighbours and their distance in Å.
Fractional coordinates of all 40 atoms:
Y  0.3167  0.8167  0.9681  2 N 2.32
Y  0.6833  0.1833  0.9681  2 N 2.32
Y  0.1833  0.3167  0.9681  2 N 2.32
Y  0.8167  0.6833  0.9681  2 N 2.32
Y  0.5000  0.5000  0.9653  8 N 2.55-2.59
Y  0.0000  0.0000  0.9653  8 N 2.55-2.59
Ge  0.4188  0.2941  0.5282  4 N 1.83-1.86
Ge  0.5812  0.7059  0.5282  4 N 1.83-1.86
Ge  0.0812  0.7941  0.5282  4 N 1.83-1.86
Ge  0.9188  0.2059  0.5282  4 N 1.83-1.86
Ge  0.2941  0.5812  0.5282  4 N 1.83-1.86
Ge  0.7059  0.4188  0.5282  4 N 1.83-1.86
Ge  0.7941  0.9188  0.5282  4 N 1.83-1.86
Ge  0.2059  0.0812  0.5282  4 N 1.83-1.86
Ge  0.8788  0.3788  0.0465  4 N 1.79-1.88
Ge  0.1212  0.6212  0.0465  4 N 1.79-1.88
Ge  0.6212  0.8788  0.0465  4 N 1.79-1.88
Ge  0.3788  0.1212  0.0465  4 N 1.79-1.88
N  0.3166  0.4222  0.6752  2 Ge 1.83-1.86
N  0.6834  0.5778  0.6752  2 Ge 1.83-1.86
N  0.1834  0.9222  0.6752  2 Ge 1.83-1.86
N  0.8166  0.0778  0.6752  2 Ge 1.83-1.86
N  0.4222  0.6834  0.6752  2 Ge 1.83-1.86
N  0.5778  0.3166  0.6752  2 Ge 1.83-1.86
N  0.9222  0.8166  0.6752  2 Ge 1.83-1.86
N  0.0778  0.1834  0.6752  2 Ge 1.83-1.86
N  0.4129  0.2885  0.1689  2 Ge 1.86-1.88
N  0.5871  0.7115  0.1689  2 Ge 1.86-1.88
N  0.0871  0.7885  0.1689  2 Ge 1.86-1.88
N  0.9129  0.2115  0.1689  2 Ge 1.86-1.88
N  0.2885  0.5871  0.1689  2 Ge 1.86-1.88
N  0.7115  0.4129  0.1689  2 Ge 1.86-1.88
N  0.7885  0.9129  0.1689  2 Ge 1.86-1.88
N  0.2115  0.0871  0.1689  2 Ge 1.86-1.88
N  0.8469  0.3469  0.6957  3 Ge 1.86-1.87
N  0.1531  0.6531  0.6957  3 Ge 1.86-1.87
N  0.6531  0.8469  0.6957  3 Ge 1.86-1.87
N  0.3469  0.1531  0.6957  3 Ge 1.86-1.87
N  0.5000  0.0000  0.0937  2 Ge 1.79
N  0.0000  0.5000  0.0937  2 Ge 1.79